Na4ScSi2GePO12: optimized geometry, PBE.

Summary:
formation enthalpy at 0 K	-58.22	eV/f.u.
M_tot	0.000	μB per cell

a b c (Å): 9.020 9.020 21.907
angles (deg): 91.20 88.80 120.32
Fractional coordinates of all 126 atoms:
1 Na 0.638 0.005 0.251
2 Na 0.369 0.367 0.247
3 Na 0.993 0.627 0.251
4 Na 0.633 0.631 0.747
5 Na 0.995 0.362 0.751
6 Na 0.373 0.007 0.751
7 Na 0.305 0.338 0.584
8 Na 0.036 0.700 0.580
9 Na 0.659 0.960 0.584
10 Na 0.300 0.964 0.080
11 Na 0.662 0.695 0.084
12 Na 0.040 0.341 0.084
13 Na 0.971 0.672 0.918
14 Na 0.703 0.033 0.914
15 Na 0.326 0.293 0.917
16 Na 0.967 0.297 0.414
17 Na 0.328 0.029 0.418
18 Na 0.707 0.674 0.417
19 Na 0.996 0.995 0.499
20 Na 0.005 0.004 0.999
21 Na 0.663 0.328 0.833
22 Na 0.672 0.337 0.333
23 Na 0.330 0.661 0.166
24 Na 0.339 0.670 0.666
25 Sc 0.994 0.997 0.352
26 Sc 0.003 0.006 0.852
27 Sc 0.661 0.330 0.686
28 Sc 0.670 0.339 0.186
29 Sc 0.327 0.663 0.019
30 Sc 0.337 0.673 0.519
31 Si 0.703 0.711 0.250
32 Si 0.006 0.295 0.251
33 Si 0.289 0.297 0.750
34 Si 0.705 0.994 0.751
35 Si 0.370 0.045 0.584
36 Si 0.673 0.628 0.585
37 Si 0.955 0.630 0.084
38 Si 0.372 0.327 0.085
39 Si 0.037 0.378 0.917
40 Si 0.339 0.962 0.918
41 Si 0.622 0.963 0.417
42 Si 0.038 0.661 0.418
43 Ge 0.999 0.997 0.649
44 Ge 0.003 0.001 0.149
45 Ge 0.665 0.330 0.982
46 Ge 0.670 0.335 0.482
47 Ge 0.332 0.663 0.315
48 Ge 0.337 0.668 0.815
49 P 0.288 0.992 0.249
50 P 0.008 0.712 0.749
51 P 0.954 0.325 0.583
52 P 0.675 0.046 0.083
53 P 0.621 0.659 0.916
54 P 0.341 0.379 0.416
55 O 0.211 0.026 0.307
56 O 0.822 0.790 0.310
57 O 0.975 0.181 0.311
58 O 0.210 0.178 0.810
59 O 0.974 0.789 0.807
60 O 0.819 0.025 0.811
61 O 0.797 0.957 0.690
62 O 0.159 0.203 0.690
63 O 0.038 0.828 0.692
64 O 0.797 0.841 0.190
65 O 0.043 0.203 0.190
66 O 0.172 0.962 0.192
67 O 0.877 0.359 0.640
68 O 0.488 0.123 0.643
69 O 0.642 0.514 0.644
70 O 0.877 0.512 0.143
71 O 0.641 0.123 0.140
72 O 0.486 0.358 0.144
73 O 0.464 0.290 0.023
74 O 0.826 0.537 0.024
75 O 0.705 0.161 0.025
76 O 0.463 0.174 0.524
77 O 0.710 0.536 0.523
78 O 0.839 0.295 0.525
79 O 0.544 0.693 0.973
80 O 0.155 0.456 0.976
81 O 0.309 0.848 0.977
82 O 0.544 0.845 0.476
83 O 0.307 0.456 0.473
84 O 0.152 0.691 0.477
85 O 0.130 0.624 0.356
86 O 0.493 0.870 0.357
87 O 0.372 0.495 0.359
88 O 0.130 0.507 0.857
89 O 0.376 0.870 0.856
90 O 0.505 0.628 0.859
91 O 0.018 0.829 0.413
92 O 0.815 0.993 0.413
93 O 0.184 0.197 0.410
94 O 0.007 0.185 0.913
95 O 0.171 0.982 0.913
96 O 0.803 0.816 0.910
97 O 0.966 0.159 0.586
98 O 0.179 0.033 0.590
99 O 0.852 0.821 0.589
100 O 0.967 0.821 0.090
101 O 0.841 0.034 0.086
102 O 0.179 0.148 0.089
103 O 0.685 0.162 0.746
104 O 0.481 0.326 0.746
105 O 0.851 0.530 0.744
106 O 0.674 0.519 0.246
107 O 0.838 0.315 0.246
108 O 0.470 0.149 0.244
109 O 0.632 0.493 0.919
110 O 0.846 0.366 0.924
111 O 0.519 0.154 0.922
112 O 0.634 0.154 0.424
113 O 0.507 0.368 0.419
114 O 0.846 0.481 0.422
115 O 0.352 0.496 0.080
116 O 0.148 0.659 0.079
117 O 0.518 0.864 0.077
118 O 0.341 0.852 0.579
119 O 0.504 0.648 0.580
120 O 0.136 0.482 0.577
121 O 0.299 0.826 0.253
122 O 0.513 0.700 0.257
123 O 0.185 0.488 0.256
124 O 0.300 0.487 0.757
125 O 0.174 0.701 0.753
126 O 0.512 0.815 0.756

***

Na3Si2Ge2PO12: optimized geometry, PBE.

Summary:
energy above the lowest structure with this stoichiometry	4.5	meV per atom
formation enthalpy at 0 K	-50.90	eV/f.u.
M_tot	0.011	μB per cell

a b c (Å): 8.679 8.679 21.608
angles (deg): 90.24 89.76 120.07
Fractional coordinates of all 120 atoms:
1 Na 0.999 0.997 0.500
2 Na 0.003 0.001 0.000
3 Na 0.666 0.330 0.834
4 Na 0.670 0.334 0.334
5 Na 0.332 0.663 0.167
6 Na 0.337 0.668 0.667
7 Na 0.636 0.001 0.250
8 Na 0.001 0.632 0.251
9 Na 0.999 0.364 0.750
10 Na 0.368 0.999 0.751
11 Na 0.302 0.335 0.584
12 Na 0.667 0.966 0.585
13 Na 0.665 0.698 0.084
14 Na 0.034 0.333 0.085
15 Na 0.969 0.668 0.917
16 Na 0.334 0.299 0.918
17 Na 0.332 0.031 0.417
18 Na 0.701 0.666 0.418
19 Si 0.708 0.709 0.250
20 Si 0.005 0.287 0.250
21 Si 0.291 0.292 0.750
22 Si 0.713 0.995 0.750
23 Si 0.375 0.042 0.583
24 Si 0.671 0.621 0.583
25 Si 0.958 0.625 0.083
26 Si 0.379 0.329 0.083
27 Si 0.041 0.376 0.916
28 Si 0.338 0.954 0.916
29 Si 0.624 0.959 0.416
30 Si 0.046 0.662 0.416
31 Ge 0.991 0.996 0.353
32 Ge 0.004 0.009 0.853
33 Ge 0.998 0.994 0.647
34 Ge 0.006 0.002 0.147
35 Ge 0.657 0.330 0.687
36 Ge 0.670 0.343 0.187
37 Ge 0.665 0.327 0.980
38 Ge 0.673 0.335 0.480
39 Ge 0.324 0.663 0.020
40 Ge 0.337 0.676 0.520
41 Ge 0.331 0.660 0.314
42 Ge 0.340 0.669 0.814
43 P 0.289 0.005 0.250
44 P 0.995 0.711 0.750
45 P 0.955 0.339 0.584
46 P 0.661 0.045 0.084
47 P 0.622 0.672 0.917
48 P 0.328 0.378 0.417
49 O 0.209 0.037 0.310
50 O 0.838 0.791 0.310
51 O 0.958 0.155 0.309
52 O 0.209 0.162 0.810
53 O 0.963 0.791 0.810
54 O 0.845 0.042 0.809
55 O 0.797 0.964 0.687
56 O 0.161 0.205 0.689
57 O 0.039 0.835 0.694
58 O 0.795 0.839 0.189
59 O 0.036 0.203 0.187
60 O 0.165 0.961 0.194
61 O 0.876 0.371 0.643
62 O 0.504 0.124 0.644
63 O 0.625 0.489 0.642
64 O 0.876 0.496 0.144
65 O 0.629 0.124 0.143
66 O 0.511 0.375 0.142
67 O 0.464 0.297 0.020
68 O 0.828 0.538 0.023
69 O 0.706 0.169 0.027
70 O 0.462 0.172 0.523
71 O 0.703 0.536 0.520
72 O 0.831 0.294 0.527
73 O 0.543 0.704 0.976
74 O 0.171 0.458 0.977
75 O 0.292 0.822 0.975
76 O 0.542 0.829 0.477
77 O 0.296 0.457 0.476
78 O 0.178 0.708 0.475
79 O 0.131 0.630 0.354
80 O 0.495 0.871 0.356
81 O 0.372 0.502 0.361
82 O 0.129 0.505 0.856
83 O 0.370 0.869 0.854
84 O 0.498 0.628 0.861
85 O 0.030 0.845 0.410
86 O 0.818 0.972 0.411
87 O 0.165 0.189 0.410
88 O 0.028 0.182 0.911
89 O 0.155 0.970 0.910
90 O 0.811 0.835 0.910
91 O 0.974 0.170 0.588
92 O 0.182 0.032 0.591
93 O 0.842 0.822 0.589
94 O 0.968 0.818 0.091
95 O 0.830 0.026 0.088
96 O 0.178 0.158 0.089
97 O 0.696 0.178 0.743
98 O 0.485 0.305 0.744
99 O 0.832 0.522 0.743
100 O 0.695 0.515 0.244
101 O 0.822 0.304 0.243
102 O 0.478 0.168 0.243
103 O 0.641 0.503 0.921
104 O 0.849 0.365 0.924
105 O 0.509 0.156 0.922
106 O 0.635 0.151 0.424
107 O 0.497 0.359 0.421
108 O 0.844 0.491 0.422
109 O 0.363 0.512 0.077
110 O 0.151 0.638 0.078
111 O 0.499 0.856 0.077
112 O 0.362 0.849 0.578
113 O 0.488 0.637 0.577
114 O 0.144 0.501 0.577
115 O 0.308 0.836 0.255
116 O 0.515 0.698 0.258
117 O 0.176 0.489 0.256
118 O 0.302 0.485 0.758
119 O 0.164 0.692 0.755
120 O 0.511 0.824 0.756

***

Na3Si2Ge2PO12: optimized geometry, PBE.

Summary:
energy above the lowest structure with this stoichiometry	0.0	meV per atom
formation enthalpy at 0 K	-50.99	eV/f.u.
M_tot	0.000	μB per cell

a b c (Å): 15.076 8.681 8.882
angles (deg): 90.00 125.85 90.00
Fractional coordinates of all 80 atoms:
1 Na 0.248 0.770 0.998
2 Na 0.748 0.730 0.498
3 Na 0.748 0.270 0.998
4 Na 0.248 0.230 0.498
5 Na 0.503 0.120 0.751
6 Na 0.503 0.880 0.251
7 Na 0.003 0.620 0.751
8 Na 0.003 0.380 0.251
9 Na 0.813 0.936 0.238
10 Na 0.813 0.064 0.738
11 Na 0.313 0.436 0.238
12 Na 0.313 0.564 0.738
13 Si 0.356 0.894 0.752
14 Si 0.645 0.887 0.747
15 Si 0.645 0.113 0.247
16 Si 0.356 0.106 0.252
17 Si 0.856 0.394 0.752
18 Si 0.145 0.387 0.747
19 Si 0.145 0.613 0.247
20 Si 0.856 0.606 0.252
21 Ge 0.105 0.748 0.560
22 Ge 0.894 0.739 0.939
23 Ge 0.894 0.261 0.439
24 Ge 0.105 0.252 0.060
25 Ge 0.605 0.248 0.560
26 Ge 0.394 0.239 0.939
27 Ge 0.394 0.761 0.439
28 Ge 0.605 0.752 0.060
29 P 0.002 0.967 0.744
30 P 0.002 0.033 0.244
31 P 0.502 0.467 0.744
32 P 0.502 0.533 0.244
33 O 0.148 0.578 0.733
34 O 0.855 0.581 0.765
35 O 0.855 0.419 0.265
36 O 0.148 0.422 0.233
37 O 0.648 0.078 0.733
38 O 0.355 0.081 0.765
39 O 0.355 0.919 0.265
40 O 0.648 0.922 0.233
41 O 0.428 0.563 0.564
42 O 0.570 0.566 0.921
43 O 0.570 0.434 0.421
44 O 0.428 0.437 0.064
45 O 0.928 0.063 0.564
46 O 0.070 0.066 0.921
47 O 0.070 0.934 0.421
48 O 0.928 0.937 0.064
49 O 0.251 0.812 0.728
50 O 0.753 0.819 0.770
51 O 0.753 0.181 0.270
52 O 0.251 0.188 0.228
53 O 0.751 0.312 0.728
54 O 0.253 0.319 0.770
55 O 0.253 0.681 0.270
56 O 0.751 0.688 0.228
57 O 0.366 0.868 0.581
58 O 0.640 0.869 0.926
59 O 0.640 0.131 0.426
60 O 0.366 0.132 0.081
61 O 0.866 0.368 0.581
62 O 0.140 0.369 0.926
63 O 0.140 0.631 0.426
64 O 0.866 0.632 0.081
65 O 0.459 0.808 0.940
66 O 0.540 0.812 0.556
67 O 0.540 0.188 0.056
68 O 0.459 0.192 0.440
69 O 0.959 0.308 0.940
70 O 0.040 0.312 0.556
71 O 0.040 0.688 0.056
72 O 0.959 0.692 0.440
73 O 0.084 0.864 0.739
74 O 0.919 0.864 0.748
75 O 0.919 0.136 0.248
76 O 0.084 0.136 0.239
77 O 0.584 0.364 0.739
78 O 0.419 0.364 0.748
79 O 0.419 0.636 0.248
80 O 0.584 0.636 0.239

***

Na3SiGe4P5O24: optimized geometry, PBE.

Summary:
formation enthalpy at 0 K	-92.06	eV/f.u.
M_tot	0.001	μB per cell

a b c (Å): 8.438 8.413 21.688
angles (deg): 90.19 89.71 119.96
Fractional coordinates of all 111 atoms:
1 Na 0.367 0.000 0.749
2 Na 0.665 0.968 0.585
3 Na 0.669 0.698 0.083
4 Na 0.012 0.001 0.499
5 Na 0.010 0.007 0.999
6 Na 0.676 0.341 0.834
7 Na 0.667 0.333 0.333
8 Na 0.322 0.665 0.167
9 Na 0.325 0.652 0.667
10 Si 0.718 0.001 0.750
11 Si 0.374 0.048 0.583
12 Si 0.957 0.618 0.084
13 Ge 0.001 0.001 0.354
14 Ge 0.997 0.001 0.855
15 Ge 0.003 0.999 0.647
16 Ge 0.005 0.000 0.147
17 Ge 0.670 0.331 0.687
18 Ge 0.671 0.334 0.188
19 Ge 0.669 0.337 0.980
20 Ge 0.661 0.332 0.479
21 Ge 0.326 0.666 0.020
22 Ge 0.329 0.667 0.519
23 Ge 0.332 0.666 0.313
24 Ge 0.337 0.666 0.814
25 P 0.289 0.001 0.251
26 P 0.712 0.712 0.251
27 P 0.000 0.285 0.251
28 P 0.284 0.289 0.750
29 P 0.994 0.709 0.751
30 P 0.956 0.338 0.582
31 P 0.666 0.614 0.583
32 P 0.667 0.051 0.083
33 P 0.378 0.329 0.083
34 P 0.620 0.666 0.917
35 P 0.048 0.380 0.916
36 P 0.334 0.957 0.916
37 P 0.622 0.954 0.416
38 P 0.334 0.381 0.416
39 P 0.044 0.665 0.416
40 O 0.208 0.040 0.309
41 O 0.834 0.796 0.307
42 O 0.963 0.167 0.309
43 O 0.210 0.162 0.808
44 O 0.961 0.791 0.810
45 O 0.843 0.042 0.811
46 O 0.796 0.960 0.687
47 O 0.168 0.209 0.692
48 O 0.047 0.836 0.694
49 O 0.789 0.828 0.191
50 O 0.038 0.204 0.192
51 O 0.170 0.961 0.192
52 O 0.880 0.379 0.641
53 O 0.504 0.123 0.644
54 O 0.630 0.498 0.641
55 O 0.870 0.494 0.145
56 O 0.622 0.125 0.142
57 O 0.502 0.375 0.141
58 O 0.456 0.287 0.025
59 O 0.821 0.540 0.024
60 O 0.704 0.167 0.025
61 O 0.463 0.172 0.522
62 O 0.709 0.539 0.524
63 O 0.831 0.293 0.525
64 O 0.540 0.702 0.977
65 O 0.167 0.461 0.974
66 O 0.295 0.836 0.974
67 O 0.544 0.839 0.476
68 O 0.295 0.462 0.475
69 O 0.164 0.706 0.474
70 O 0.126 0.627 0.358
71 O 0.499 0.870 0.359
72 O 0.370 0.500 0.358
73 O 0.130 0.501 0.858
74 O 0.370 0.878 0.857
75 O 0.500 0.629 0.860
76 O 0.027 0.839 0.409
77 O 0.812 0.971 0.409
78 O 0.161 0.189 0.410
79 O 0.033 0.191 0.911
80 O 0.160 0.974 0.910
81 O 0.811 0.837 0.912
82 O 0.970 0.163 0.589
83 O 0.174 0.026 0.591
84 O 0.834 0.809 0.588
85 O 0.972 0.820 0.091
86 O 0.838 0.030 0.091
87 O 0.187 0.162 0.091
88 O 0.690 0.180 0.744
89 O 0.477 0.311 0.743
90 O 0.821 0.523 0.743
91 O 0.690 0.520 0.245
92 O 0.825 0.300 0.245
93 O 0.479 0.174 0.243
94 O 0.634 0.490 0.922
95 O 0.856 0.360 0.923
96 O 0.507 0.147 0.923
97 O 0.643 0.147 0.422
98 O 0.508 0.366 0.421
99 O 0.854 0.493 0.423
100 O 0.366 0.506 0.076
101 O 0.158 0.640 0.076
102 O 0.502 0.854 0.076
103 O 0.361 0.847 0.575
104 O 0.495 0.636 0.576
105 O 0.147 0.506 0.575
106 O 0.307 0.828 0.257
107 O 0.521 0.696 0.257
108 O 0.172 0.477 0.257
109 O 0.299 0.477 0.758
110 O 0.166 0.689 0.758
111 O 0.510 0.822 0.757